# 1
First-principles (PBE+U) data for crystalline Rb2MgFe2O4 at its relaxed geometry, as listed in Materials Project.

Cell lengths 5.6191, 5.7323, 6.6615 Å; angles 109.79, 100.48, 110.98 degrees
Sites, in units of the cell vectors:
Rb 0.0000 0.0000 0.0000
Rb 0.3308 0.4838 0.7820
Mg 0.6601 0.1211 0.4626
Fe 0.1395 0.7794 0.4484
Fe 0.5777 0.6432 0.3926
O 0.3205 0.7246 0.2114
O 0.5148 0.9467 0.6700
O 0.8004 0.5089 0.5271
O 0.9111 0.9641 0.3926

---

# 2
First-principles (PBE+U) data for crystalline Rb2MgFe2O4 at its relaxed geometry, as listed in Materials Project.

Cell lengths 6.0045, 5.9677, 5.9677 Å; angles 55.22, 90.00, 90.00 degrees
Sites, in units of the cell vectors:
Rb 0.0000 0.0000 0.0000
Rb 0.5000 0.3051 0.3051
Mg 0.0000 0.3918 0.3918
Fe 0.0000 0.6658 0.6658
Fe 0.5000 0.6385 0.6385
O 0.2328 0.5143 0.5143
O 0.2550 0.7739 0.7739
O 0.7450 0.7739 0.7739
O 0.7672 0.5143 0.5143

---

For the records above, the corresponding final energy values read -5.277; -5.040 eV/atom.
For the records above, the corresponding energy relative to the elements values read -1.6068; -1.3692 eV/atom.
For the records above, the corresponding distance to the lowest polymorph of the same formula values read 0.370; 2.508 eV/f.u..